Entry 1:
YGePt | GGA-PBE | relaxed

Structure (CIF):
```
data_YGePt
_space_group_name_H-M_alt 'A m m 2'
_space_group_IT_number 38
_cell_length_a 3.569
_cell_length_b 4.420
_cell_length_c 7.638
_cell_angle_alpha 90.00
_cell_angle_beta 90.00
_cell_angle_gamma 90.00
loop_
_space_group_symop_operation_xyz
'x,y,z'
'-x,-y,z'
'-x,y,z'
'x,-y,z'
'x,y+1/2,z+1/2'
'-x,-y+1/2,z+1/2'
'-x,y+1/2,z+1/2'
'x,-y+1/2,z+1/2'
loop_
_atom_site_label
_atom_site_type_symbol
_atom_site_fract_x
_atom_site_fract_y
_atom_site_fract_z
Y1 Y 0.000 0.000 0.000
Ge1 Ge 0.500 0.000 0.667
Pt1 Pt 0.500 0.000 0.334
```

**Total DFT energy (no corrections)**: -6.8147 eV per atom
**Calculated formation energy**: -1094 meV/atom


Entry 2:
YGePt | GGA-PBE | relaxed

Structure (CIF):
```
data_YGePt
_space_group_name_H-M_alt 'P n m a'
_space_group_IT_number 62
_cell_length_a 7.091
_cell_length_b 4.393
_cell_length_c 7.694
_cell_angle_alpha 90.00
_cell_angle_beta 90.00
_cell_angle_gamma 90.00
loop_
_space_group_symop_operation_xyz
'x,y,z'
'-x,-y,-z'
'-x+1/2,-y,z+1/2'
'x+1/2,y,-z+1/2'
'x+1/2,-y+1/2,-z+1/2'
'-x+1/2,y+1/2,z+1/2'
'-x,y+1/2,-z'
'x,-y+1/2,z'
loop_
_atom_site_label
_atom_site_type_symbol
_atom_site_fract_x
_atom_site_fract_y
_atom_site_fract_z
Y1 Y 0.002 0.250 0.202
Ge1 Ge 0.188 0.250 0.591
Pt1 Pt 0.203 0.750 0.416
```

**Total DFT energy (no corrections)**: -6.8567 eV per atom
**Calculated formation energy**: -1136 meV/atom


Entry 3:
Y3Ge13Pt4 | GGA-PBE | relaxed

Structure (CIF):
```
data_Y3Ge13Pt4
_space_group_name_H-M_alt 'R 3 c'
_space_group_IT_number 161
_space_group_name_Hall 'R 3 -2"c'
_cell_length_a 12.8899
_cell_length_b 12.8899
_cell_length_c 15.9028
_cell_angle_alpha 90.00
_cell_angle_beta 90.00
_cell_angle_gamma 120.00
loop_
_atom_site_label
_atom_site_type_symbol
_atom_site_fract_x
_atom_site_fract_y
_atom_site_fract_z
Y1 Y 0.0018 0.2513 0.0000
Ge1 Ge 0.0000 0.0000 0.2481
Ge2 Ge 0.0136 0.1507 0.6125
Ge3 Ge 0.0410 0.4362 0.8574
Ge4 Ge 0.1621 0.4915 0.0868
Ge5 Ge 0.1716 0.4568 0.4650
Pt1 Pt 0.0000 0.0000 0.9998
Pt2 Pt 0.1637 0.3339 0.8338
```

**Total DFT energy (no corrections)**: -5.7059 eV per atom
**Calculated formation energy**: -517 meV/atom


Entry 4:
YGe2Pt | GGA-PBE | relaxed

Structure (CIF):
```
data_YGe2Pt
_space_group_name_H-M_alt 'I m m m'
_space_group_IT_number 71
_space_group_name_Hall '-I 2 2'
_cell_length_a 4.368
_cell_length_b 8.800
_cell_length_c 16.406
_cell_angle_alpha 90.00
_cell_angle_beta 90.00
_cell_angle_gamma 90.00
loop_
_atom_site_label
_atom_site_type_symbol
_atom_site_fract_x
_atom_site_fract_y
_atom_site_fract_z
Y1 Y 0.000 0.000 0.203
Y2 Y 0.000 0.238 0.000
Ge1 Ge 0.000 0.000 0.426
Ge2 Ge 0.000 0.350 0.199
Ge3 Ge 0.000 0.500 0.426
Pt1 Pt 0.000 0.250 0.352
```

**Total DFT energy (no corrections)**: -6.3134 eV per atom
**Calculated formation energy**: -867 meV/atom


Entry 5:
Y2Ge3Pt9 | GGA-PBE | relaxed

Structure (CIF):
```
data_Y2Ge3Pt9
_space_group_name_H-M_alt 'C 1 2/c 1'
_space_group_IT_number 15
_cell_length_a 13.541
_cell_length_b 7.845
_cell_length_c 10.134
_cell_angle_alpha 90.00
_cell_angle_beta 116.80
_cell_angle_gamma 90.00
loop_
_space_group_symop_operation_xyz
'x,y,z'
'-x,-y,-z'
'-x,y,-z+1/2'
'x,-y,z+1/2'
'x+1/2,y+1/2,z'
'-x+1/2,-y+1/2,-z'
'-x+1/2,y+1/2,-z+1/2'
'x+1/2,-y+1/2,z+1/2'
loop_
_atom_site_label
_atom_site_type_symbol
_atom_site_fract_x
_atom_site_fract_y
_atom_site_fract_z
Y1 Y 0.170 0.086 0.251
Ge1 Ge 0.089 0.229 0.498
Ge2 Ge 0.250 0.250 0.000
Pt1 Pt 0.000 0.366 0.250
Pt2 Pt 0.059 0.081 0.922
Pt3 Pt 0.105 0.310 0.743
Pt4 Pt 0.109 0.411 0.070
Pt5 Pt 0.223 0.417 0.422
```

**Total DFT energy (no corrections)**: -6.5881 eV per atom
**Calculated formation energy**: -771 meV/atom


Entry 6:
PuGe2 | GGA-PBE | relaxed

Structure (CIF):
```
data_PuGe2
_space_group_name_H-M_alt 'I 41/a m d'
_space_group_IT_number 141
_cell_length_a 4.040
_cell_length_b 4.040
_cell_length_c 16.034
_cell_angle_alpha 90.00
_cell_angle_beta 90.00
_cell_angle_gamma 90.00
loop_
_space_group_symop_operation_xyz
'x,y,z'
'-x,-y,-z'
'-y+1/4,x+3/4,z+1/4'
'y+1/4,-x+3/4,-z+1/4'
'-x+1/2,-y,z+1/2'
'x+1/2,y,-z+1/2'
'y+1/4,-x+1/4,z+3/4'
'-y+1/4,x+1/4,-z+3/4'
'x,-y,-z'
'-x,y,z'
'-y+1/4,-x+1/4,-z+3/4'
'y+1/4,x+1/4,z+3/4'
'-x+1/2,y,-z+1/2'
'x+1/2,-y,z+1/2'
'y+1/4,x+3/4,-z+1/4'
'-y+1/4,-x+3/4,z+1/4'
'x+1/2,y+1/2,z+1/2'
'-x+1/2,-y+1/2,-z+1/2'
'-y+3/4,x+1/4,z+3/4'
'y+3/4,-x+1/4,-z+3/4'
'-x,-y+1/2,z'
'x,y+1/2,-z'
'y+3/4,-x+3/4,z+1/4'
'-y+3/4,x+3/4,-z+1/4'
'x+1/2,-y+1/2,-z+1/2'
'-x+1/2,y+1/2,z+1/2'
'-y+3/4,-x+3/4,-z+1/4'
'y+3/4,x+3/4,z+1/4'
'-x,y+1/2,-z'
'x,-y+1/2,z'
'y+3/4,x+1/4,-z+3/4'
'-y+3/4,-x+1/4,z+3/4'
loop_
_atom_site_label
_atom_site_type_symbol
_atom_site_fract_x
_atom_site_fract_y
_atom_site_fract_z
Pu1 Pu 0.000 0.250 0.375
Ge1 Ge 0.000 0.250 0.795
```

**Total DFT energy (no corrections)**: -8.1719 eV per atom
**Calculated formation energy**: -334 meV/atom